Model 1:
Compound: Gd4Sb3
Source: the Materials Project
Functional: r2SCAN
Structure: relaxed

abc: 8.103 7.999 8.071
angles: 109.17 109.90 109.02
Positions (direct):
1 Gd 0.501 0.004 0.858
2 Gd 0.494 0.995 0.351
3 Gd 0.999 0.353 0.499
4 Gd 0.357 0.503 0.007
5 Gd 0.999 0.858 0.502
6 Gd 0.149 0.144 0.144
7 Gd 0.645 0.640 0.644
8 Gd 0.857 0.503 0.996
9 Sb 0.372 0.249 0.628
10 Sb 0.753 0.877 0.124
11 Sb 0.629 0.376 0.252
12 Sb 0.871 0.124 0.747
13 Sb 0.128 0.750 0.869
14 Sb 0.247 0.625 0.378

Values from the calculation:
Size of the total moment (Bohr magnetons per cell): 18.36

Model 2:
Compound: Gd4Sb3
Source: the Materials Project
Functional: r2SCAN
Structure: relaxed

abc: 8.068 8.068 8.068
angles: 109.47 109.47 109.47
Positions (direct):
1 Gd 0.147 0.147 0.147
2 Gd 0.500 0.000 0.353
3 Gd 0.500 0.000 0.853
4 Gd 0.000 0.353 0.500
5 Gd 0.353 0.500 0.000
6 Gd 0.853 0.500 0.000
7 Gd 0.647 0.647 0.647
8 Gd 0.000 0.853 0.500
9 Sb 0.875 0.125 0.750
10 Sb 0.125 0.750 0.875
11 Sb 0.375 0.250 0.625
12 Sb 0.625 0.375 0.250
13 Sb 0.250 0.625 0.375
14 Sb 0.750 0.875 0.125

Values from the calculation:
Size of the total moment (Bohr magnetons per cell): 62.00

Energy ordering: model 2 at the bottom, the next structure 61 meV per atom above.